[1]
A plane-wave DFT calculation with GGA-PBE was carried out for a relaxed structure of LiPO3.

The electronic total energy is -6.7217 eV/atom.

a = 13.301 Å, b = 5.512 Å, c = 19.625 Å
α = 90.00°, β = 122.60°, γ = 90.00°
Space group P2/c (No. 13)
Asymmetric unit:
Li 0.000 0.008 0.250 x2
Li 0.118 0.475 0.558 x4
Li 0.147 0.495 0.327 x4
Li 0.353 0.478 0.174 x4
Li 0.382 0.492 0.442 x4
Li 0.500 0.038 0.750 x2
P 0.064 0.156 0.917 x4
P 0.138 0.172 0.184 x4
P 0.269 0.187 0.508 x4
P 0.329 0.189 0.795 x4
P 0.476 0.154 0.101 x4
O 0.020 0.078 0.099 x4
O 0.031 0.355 0.954 x4
O 0.062 0.216 0.841 x4
O 0.097 0.257 0.238 x4
O 0.193 0.056 0.988 x4
O 0.202 0.343 0.160 x4
O 0.211 0.080 0.716 x4
O 0.242 0.324 0.434 x4
O 0.262 0.322 0.573 x4
O 0.291 0.356 0.837 x4
O 0.388 0.050 0.351 x4
O 0.403 0.081 0.547 x4
O 0.405 0.277 0.766 x4
O 0.440 0.204 0.161 x4
O 0.472 0.348 0.048 x4

[2]
A plane-wave DFT calculation with GGA-PBE was carried out for a relaxed structure of Li8PO3.

The electronic total energy is -4.2331 eV/atom.

a = 5.034 Å, b = 5.034 Å, c = 5.034 Å
α = 90.00°, β = 90.00°, γ = 90.00°
Space group Pm-3m (No. 221)
Asymmetric unit:
Li 0.234 0.234 0.234 x8
P 0.500 0.500 0.500 x1
O 0.000 0.000 0.500 x3

[3]
A plane-wave DFT calculation with GGA-PBE was carried out for a relaxed structure of LiPO3.

The electronic total energy is -6.7242 eV/atom.

a = 5.411 Å, b = 17.304 Å, c = 9.004 Å
α = 90.00°, β = 116.99°, γ = 90.00°
Space group P2_1/c (No. 14)
Asymmetric unit:
Li 0.075 0.021 0.371 x4
Li 0.082 0.690 0.275 x4
Li 0.176 0.657 0.938 x4
P 0.392 0.189 0.911 x4
P 0.396 0.098 0.194 x4
P 0.495 0.063 0.720 x4
O 0.141 0.218 0.761 x4
O 0.170 0.103 0.247 x4
O 0.188 0.060 0.605 x4
O 0.277 0.132 0.008 x4
O 0.308 0.567 0.855 x4
O 0.320 0.630 0.194 x4
O 0.398 0.744 0.468 x4
O 0.426 0.009 0.151 x4
O 0.430 0.632 0.648 x4

[4]
A plane-wave DFT calculation with GGA-PBE was carried out for a relaxed structure of Li3PO4.

The electronic total energy is -6.2754 eV/atom.

a = 10.615 Å, b = 6.177 Å, c = 5.001 Å
α = 90.00°, β = 90.00°, γ = 90.00°
Space group Pnma (No. 62)
Asymmetric unit:
Li 0.075 0.250 0.203 x4
Li 0.164 0.502 0.802 x8
P 0.089 0.750 0.306 x4
O 0.049 0.250 0.797 x4
O 0.090 0.750 0.618 x4
O 0.159 0.544 0.204 x8

[5]
A plane-wave DFT calculation with GGA-PBE was carried out for a relaxed structure of Li3PO4.

Its maximum piezoelectric response is 0.7 C/m2. The electronic total energy is -6.2765 eV/atom.

a = 6.176 Å, b = 5.296 Å, c = 4.922 Å
α = 90.00°, β = 90.00°, γ = 90.00°
Space group Pmn2_1 (No. 31)
Asymmetric unit:
Li 0.000 0.155 0.000 x2
Li 0.247 0.326 0.499 x4
P 0.000 0.824 0.492 x2
O 0.000 0.104 0.593 x2
O 0.000 0.818 0.176 x2
O 0.207 0.686 0.598 x4

[6]
A plane-wave DFT calculation with GGA-PBE was carried out for a relaxed structure of Li4P4O17.

The electronic total energy is -6.2913 eV/atom.

a = 18.066 Å, b = 16.354 Å, c = 13.972 Å
α = 90.00°, β = 128.91°, γ = 90.00°
Space group C2/c (No. 15)
Asymmetric unit:
Li 0.004 0.177 0.020 x8
Li 0.176 0.124 0.684 x8
Li 0.195 0.121 0.119 x8
Li 0.207 0.104 0.918 x8
P 0.103 0.032 0.227 x8
P 0.103 0.289 0.724 x8
P 0.106 0.281 0.940 x8
P 0.107 0.035 0.440 x8
O 0.003 0.007 0.856 x8
O 0.004 0.327 0.861 x8
O 0.017 0.284 0.140 x8
O 0.058 0.345 0.129 x8
O 0.065 0.413 0.180 x8
O 0.095 0.460 0.457 x8
O 0.104 0.207 0.003 x8
O 0.106 0.219 0.655 x8
O 0.108 0.098 0.157 x8
O 0.110 0.244 0.835 x8
O 0.112 0.076 0.338 x8
O 0.112 0.103 0.514 x8
O 0.141 0.420 0.438 x8
O 0.169 0.040 0.775 x8
O 0.172 0.358 0.771 x8
O 0.176 0.035 0.001 x8
O 0.181 0.344 0.016 x8